Material: K10Th3P10S36
Method: DFT, PBE
State: optimized geometry

Geometry as extended XYZ:
```
118
Lattice="4.5843 16.6347 0.0000 -4.5843 16.6347 0.0000 0.0000 17.2383 22.4307" Properties=species:S:1:pos:R:3 pbc="T T T"
K -1.8670 17.6638 1.6448
K -1.2448 30.6181 14.0624
K 1.8670 26.2829 12.8602
K -2.7843 26.0390 14.8823
K 2.7843 24.4687 7.5485
K 1.2448 19.8896 8.3683
K 1.8670 32.8439 20.7859
K -1.2448 28.5087 19.5837
K -2.7843 33.0879 18.7638
K -1.6584 28.2659 5.9140
K 0.2458 32.7894 8.9577
K 1.6584 22.2418 16.5167
K 1.2448 21.9990 2.8470
K 1.6584 36.8851 17.1294
K -1.8670 24.2248 9.5705
K -1.6584 13.6226 5.3013
K 2.7843 17.4199 3.6669
K -0.2458 41.4085 20.1731
K -0.2458 17.7184 13.4730
K 0.2458 9.0992 2.2576
Th 0.4946 28.6075 1.2434
Th 0.4946 13.2811 9.9720
Th -2.6093 20.9443 5.6077
Th -0.4946 37.2266 12.4587
Th 2.6093 29.5634 16.8230
Th -0.4946 21.9002 21.1873
P -0.5091 46.1861 20.1833
P 1.7223 29.2092 8.7731
P -1.1513 34.3952 14.6193
P -0.5091 12.9408 13.4628
P 1.1513 25.7760 3.4040
P -1.7223 21.2985 13.6577
P -1.0061 17.6575 5.5274
P 1.1513 16.1125 7.8114
P 1.0061 32.8502 16.9034
P 1.1575 36.5954 21.7669
P 1.7223 12.6794 2.4423
P 0.5091 4.3216 2.2475
P -1.1513 24.7317 19.0268
P -1.1575 27.9763 10.5515
P 1.0061 26.2767 16.7427
P 0.5091 37.5669 8.9679
P 1.1575 22.5315 11.8792
P -1.1575 13.9123 0.6638
P -1.7223 37.8283 19.9884
P -1.0061 24.2311 5.6880
S -0.8097 24.8814 3.6416
S 1.3345 38.5909 22.1292
S -0.0920 19.4800 5.3624
S -4.0934 29.8081 18.4000
S -0.5383 20.5048 15.0484
S 3.0193 32.4727 16.9488
S -1.3345 11.9168 0.3015
S -2.6303 27.5395 9.1779
S 2.5552 24.6834 4.2881
S 2.5552 17.2051 6.9272
S -0.1312 35.8637 9.9173
S -0.8097 17.0072 7.5738
S 3.0193 26.6542 16.6973
S 2.6303 36.1587 20.3932
S -1.3345 29.9717 10.9138
S -2.0922 20.9925 2.7708
S -2.3128 19.9161 12.2740
S -2.6303 14.3491 2.0375
S 2.3128 11.2970 1.0586
S -1.0224 22.7757 18.4643
S -1.1879 32.4257 21.5629
S 0.0920 31.0278 17.0683
S -0.3141 16.3146 4.2365
S -0.5383 38.6221 18.5977
S -0.0920 22.4086 5.8530
S -0.8104 36.1531 21.0002
S 1.2422 16.1267 9.8516
S 2.6303 22.9682 13.2529
S -2.5552 33.3026 15.5035
S -4.0934 29.3187 15.2461
S 2.0922 29.6117 13.9862
S -0.8104 22.9738 12.6459
S -1.1879 26.7012 12.0831
S 1.1783 20.1949 19.3798
S 4.0934 20.6996 4.0307
S 0.5383 11.8856 3.8331
S -2.3128 39.2108 21.3721
S 0.3141 34.1931 18.1942
S -2.0922 20.8961 8.4445
S 0.8104 27.5340 9.7848
S 1.3345 20.5360 11.5169
S -2.5552 25.8243 18.1426
S 1.0224 14.1565 7.2489
S -1.1783 11.5757 8.1644
S 4.0934 21.1890 7.1846
S 0.3141 24.9338 15.4519
S 2.3128 30.5916 10.1568
S 0.5383 30.0029 7.3823
S 1.2422 25.7619 1.3637
S -0.3141 25.5740 6.9788
S -1.1783 30.3128 3.0509
S 1.1879 23.8065 10.3476
S -3.0193 18.0351 5.4819
S -3.0193 23.8535 5.7335
S 0.0808 39.0824 10.2827
S -0.1312 6.0249 1.2981
S 0.0920 28.0991 16.5778
S 0.0808 2.8062 0.9326
S 1.0224 27.7321 3.9664
S -1.2422 24.7459 21.0670
S 0.8097 33.5006 14.8569
S -1.0224 36.3512 15.1818
S -0.0808 47.7015 21.4981
S 0.1312 44.4829 21.1327
S -1.2422 34.3810 12.5791
S 1.1783 38.9320 14.2663
S 0.8104 14.3546 1.4306
S 2.0922 29.5152 19.6599
S -0.0808 11.4254 12.1480
S 1.1879 18.0820 0.8678
S 0.8097 25.6263 18.7891
S 0.1312 14.6440 12.5134
```

Results
Its space-group type is C2/c (15). For the total moment, the calculation gives 0.00 μB per formula unit. The value obtained for the energy relative to the elements is -117.0 kJ per mole of atoms.

Material: CeGa6
Method: DFT, PBE
State: optimized geometry

Geometry as extended XYZ:
```
14
Lattice="6.0146 0.0000 0.0000 0.0000 6.0146 0.0000 0.0000 0.0000 7.7257" Properties=species:S:1:pos:R:3 pbc="T T T"
Ce 0.0000 3.0073 0.0000
Ce 3.0073 0.0000 0.0000
Ga 4.1124 4.9095 2.7175
Ga 1.9022 1.1051 2.7175
Ga 0.0000 0.0000 1.2454
Ga 0.0000 0.0000 6.4803
Ga 3.0073 3.0073 6.4803
Ga 3.0073 3.0073 1.2454
Ga 1.1051 1.9022 5.0081
Ga 4.1124 1.1051 5.0081
Ga 1.9022 4.9095 5.0081
Ga 1.1051 4.1124 2.7175
Ga 4.9095 1.9022 2.7175
Ga 4.9095 4.1124 5.0081
```

Results
Its space-group type is P4/nbm (125). The value obtained for the energy relative to the elements is -31.1 kJ per mole of atoms.

Material: TlBi25O39
Method: DFT, PBE
State: optimized geometry

Geometry as extended XYZ:
```
65
Lattice="9.0174 0.0000 0.0000 -3.0297 8.4946 0.0000 -0.0240 -0.0535 14.6816" Properties=species:S:1:pos:R:3 pbc="T T T"
Tl 2.9765 4.2571 7.3002
Bi -0.7718 2.7536 2.4569
Bi 2.8434 1.9818 1.4249
Bi 5.9145 4.4343 4.9056
Bi -0.0809 6.2743 6.2848
Bi 2.2421 7.0386 9.7345
Bi 5.2114 4.9116 1.2205
Bi 5.9133 6.2017 8.7556
Bi 2.2395 4.9330 3.7189
Bi -2.1138 8.0158 3.6284
Bi 2.8981 0.1588 12.2064
Bi 5.8787 1.9223 13.6376
Bi 3.8905 7.6521 5.9606
Bi -0.1853 6.2285 1.1216
Bi 2.2145 0.7188 8.5418
Bi 2.8973 8.3856 2.2667
Bi 8.1542 0.7594 10.8673
Bi 3.8709 3.7560 10.9868
Bi -0.0474 2.3130 6.0965
Bi 0.9064 3.2213 13.3486
Bi 3.9033 1.3333 5.0771
Bi 5.8380 2.1200 8.3096
Bi 0.0528 4.1471 9.5057
Bi 2.7132 6.4670 13.5193
Bi 7.0263 5.3762 12.3671
Bi 5.8800 8.2736 14.4818
O -0.7270 3.5926 4.5663
O 5.3319 2.7257 0.8394
O -0.3235 4.2267 7.3418
O 3.6403 3.6964 2.7380
O 2.2676 3.2037 5.5310
O 5.1772 4.1926 7.3735
O 6.6367 4.7894 2.7693
O -2.2138 6.2369 5.5376
O 2.2682 7.8009 11.9461
O 0.5872 4.2242 1.7739
O -0.7278 6.9610 8.1793
O 4.1032 5.8105 4.6381
O 5.6573 0.0057 0.0030
O 4.1051 5.8203 10.1186
O 2.2980 6.3409 7.3800
O -2.4464 7.9144 10.1329
O 2.2826 6.3982 1.9133
O 5.3451 7.6304 1.7185
O 2.2833 0.0271 5.4267
O 3.5990 0.5343 10.1292
O 3.7663 1.9565 12.9036
O 8.2797 0.4158 4.5785
O 2.2375 8.0094 4.7020
O 6.6615 0.0350 9.1944
O 1.0822 1.5084 11.9773
O -0.6000 1.8890 0.0245
O -0.6456 2.1516 9.2605
O 3.7846 0.5498 2.6538
O 2.2209 3.2423 9.1127
O 6.7947 1.6738 6.4920
O 5.2501 4.3075 12.7287
O 4.0949 1.1147 7.3519
O 2.2167 4.6026 12.0034
O -0.7728 3.6331 12.1003
O 1.1614 1.6464 2.8658
O 6.8365 4.7844 10.0258
O 0.6760 5.9150 13.8699
O 7.0794 5.2861 14.6750
O 2.0029 0.0269 0.1069
```

Results
Its space-group type is P1 (1). For the total moment, the calculation gives 0.01 μB per formula unit. The value obtained for the energy relative to the elements is -154.0 kJ per mole of atoms.

Material: NdCuGe
Method: DFT, PBE
State: optimized geometry

Geometry as extended XYZ:
```
3
Lattice="2.1143 -3.6621 0.0000 2.1143 3.6621 0.0000 0.0000 0.0000 4.0721" Properties=species:S:1:pos:R:3 pbc="T T T"
Nd 2.1143 1.2207 0.0000
Cu 2.1143 -1.2207 2.0361
Ge 0.0000 0.0000 2.0361
```

Results
Its space-group type is P-6m2 (187). The value obtained for the energy relative to the elements is -59.6 kJ per mole of atoms.

Material: BaAl4
Method: DFT, PBE
State: optimized geometry

Geometry as extended XYZ:
```
5
Lattice="2.5094 5.9251 1.1364 -2.7330 3.9849 4.3985 2.0085 -6.2008 -0.4603" Properties=species:S:1:pos:R:3 pbc="T T T"
Ba 0.0000 0.0000 0.0000
Al -0.4182 1.3696 3.3528
Al 2.2030 2.3397 1.7217
Al -0.0852 3.7764 2.1092
Al -0.1384 6.1336 3.4257
```

Results
Its space-group type is I4/mmm (139). The value obtained for the energy relative to the elements is -23.3 kJ per mole of atoms.

Material: Sn3P
Method: DFT, PBE
State: optimized geometry

Geometry as extended XYZ:
```
4
Lattice="4.6409 0.0000 0.0000 0.0000 4.6409 0.0000 0.0000 0.0000 4.6409" Properties=species:S:1:pos:R:3 pbc="T T T"
Sn 2.3205 0.0000 2.3205
Sn 0.0000 2.3205 2.3205
Sn 2.3205 2.3205 0.0000
P 0.0000 0.0000 0.0000
```

Results
Its space-group type is Pm-3m (221). For the total moment, the calculation gives 0.00 μB per formula unit. The value obtained for the energy relative to the elements is 26.2 kJ per mole of atoms. Its polymorph energy (0 for the lowest one) is 5 meV per atom.

Material: SmCu2O4
Method: DFT, PBE
State: optimized geometry

Geometry as extended XYZ:
```
14
Lattice="-3.1873 1.8371 5.1773 -1.7191 5.8403 -1.8094 -1.0018 -5.3487 -3.2752" Properties=species:S:1:pos:R:3 pbc="T T T"
Sm 0.0000 0.0000 0.0000
Sm -3.3211 0.1636 1.7931
Cu -4.1138 3.9205 2.5805
Cu -3.0210 0.3276 -1.6457
Cu -2.1615 -2.5925 -0.7410
Cu -2.5201 3.0019 -0.0082
O -2.8715 4.8843 0.1259
O -3.5393 -1.7692 0.3118
O -2.1688 1.1196 -0.1422
O -2.5028 2.4244 -3.6033
O -1.2444 3.4904 -1.3303
O -4.4323 1.6264 -1.7253
O -1.6098 -0.9712 -1.5661
O -3.7959 2.5135 1.3139
```

Results
Its space-group type is I4_1/a (88). The value obtained for the energy relative to the elements is -197.5 kJ per mole of atoms.

Material: Mn2SnRu
Method: DFT, PBE
State: optimized geometry

Geometry as extended XYZ:
```
4
Lattice="0.0000 3.1407 3.1407 3.1407 0.0000 3.1407 3.1407 3.1407 0.0000" Properties=species:S:1:pos:R:3 pbc="T T T"
Mn 0.0000 0.0000 0.0000
Mn 1.5703 1.5703 1.5703
Sn 4.7110 4.7110 4.7110
Ru 3.1407 3.1407 3.1407
```

Results
Its space-group type is F-43m (216). For the total moment, the calculation gives 7.15 μB per formula unit. The value obtained for the energy relative to the elements is 7.6 kJ per mole of atoms.